(1)
Computed, not measured: Na10EuSn12 after structural relaxation at the PBE-GGA level of DFT.

Properties
Energy of formation from the pure elements ... -0.275 eV/atom
Space group ... No. 217

The structure in POSCAR format:
```
Na10EuSn12
1.0
-5.640 5.640 5.640
5.640 -5.640 5.640
5.640 5.640 -5.640
Na Eu Sn
10 1 12
Cartesian
2.199 2.199 2.199
2.820 5.640 0.000
0.000 5.640 2.820
0.000 2.820 5.640
3.441 -3.441 3.441
5.640 2.820 0.000
3.441 3.441 -3.441
2.820 0.000 5.640
5.640 0.000 2.820
-3.441 3.441 3.441
0.000 0.000 0.000
8.119 1.030 1.030
4.610 4.610 2.479
1.030 -1.030 3.161
-1.030 3.161 1.030
1.030 1.030 8.119
-1.030 1.030 3.161
2.479 4.610 4.610
1.030 3.161 -1.030
4.610 2.479 4.610
3.161 -1.030 1.030
1.030 8.119 1.030
3.161 1.030 -1.030
```

=====

(2)
Computed, not measured: NaEuTl2 after structural relaxation at the PBE-GGA level of DFT.

Properties
Energy of formation from the pure elements ... -0.288 eV/atom
Space group ... No. 225

The structure in POSCAR format:
```
NaEuTl2
1.0
0.000 3.919 3.919
3.919 0.000 3.919
3.919 3.919 0.000
Na Eu Tl
1 1 2
Cartesian
3.919 3.919 3.919
0.000 0.000 0.000
5.879 5.879 5.879
1.960 1.960 1.960
```

=====

(3)
Computed, not measured: Eu3Nb after structural relaxation at the PBE-GGA level of DFT.

Properties
Energy of formation from the pure elements ... 0.594 eV/atom
Space group ... No. 139

The structure in POSCAR format:
```
Eu3Nb
1.0
-2.627 2.627 4.582
2.627 -2.627 4.582
2.627 2.627 -4.582
Eu Nb
3 1
Cartesian
0.000 2.627 2.291
2.627 0.000 2.291
0.000 0.000 4.582
0.000 0.000 0.000
```

=====

(4)
Computed, not measured: EuNb3 after structural relaxation at the PBE-GGA level of DFT.

Properties
Energy of formation from the pure elements ... 0.584 eV/atom
Space group ... No. 194
Total magnetic moment ... 13.55 μB/cell

The structure in POSCAR format:
```
EuNb3
1.0
3.243 -5.617 0.000
3.243 5.617 0.000
0.000 0.000 5.077
Eu Nb
2 6
Cartesian
3.243 1.872 3.808
3.243 -1.872 1.269
1.379 0.796 1.269
5.107 0.796 1.269
3.243 4.024 1.269
5.107 -0.796 3.808
1.379 -0.796 3.808
3.243 -4.024 3.808
```

=====

(5)
Computed, not measured: Eu3Nb after structural relaxation at the PBE-GGA level of DFT.

Properties
Energy of formation from the pure elements ... 0.598 eV/atom
Space group ... No. 194
Total magnetic moment ... 45.95 μB/cell

The structure in POSCAR format:
```
Eu3Nb
1.0
-3.467 2.744 5.380
-3.100 -4.685 -4.115
1.829 -4.068 3.254
Eu Nb
6 2
Cartesian
-2.031 -1.605 6.160
-0.383 -2.910 3.602
-3.505 -3.833 4.203
-4.356 -3.098 0.917
-2.707 -4.403 -1.641
-1.233 -2.175 0.315
-2.887 -0.749 3.028
-1.851 -5.259 1.490
```

=====

(6)
Computed, not measured: NdEu2NbO6 after structural relaxation at the PBE-GGA level of DFT.

Properties
Energy of formation from the pure elements ... -3.220 eV/atom
Space group ... No. 225

The structure in POSCAR format:
```
NdEu2NbO6
1.0
0.000 -4.298 -4.298
4.298 0.000 -4.298
4.298 -4.298 0.000
Nd Eu Nb O
1 2 1 6
Cartesian
4.298 -4.298 -4.298
2.149 -2.149 -2.149
6.447 -6.447 -6.447
0.000 0.000 0.000
2.005 -4.298 -4.298
6.591 -4.298 -4.298
4.298 -6.591 -4.298
4.298 -2.005 -4.298
4.298 -4.298 -6.591
4.298 -4.298 -2.005
```

=====

Repeat the third record exactly.
Computed, not measured: Eu3Nb after structural relaxation at the PBE-GGA level of DFT.

Properties
Energy of formation from the pure elements ... 0.594 eV/atom
Space group ... No. 139

The structure in POSCAR format:
```
Eu3Nb
1.0
-2.627 2.627 4.582
2.627 -2.627 4.582
2.627 2.627 -4.582
Eu Nb
3 1
Cartesian
0.000 2.627 2.291
2.627 0.000 2.291
0.000 0.000 4.582
0.000 0.000 0.000
```